A plane-wave DFT calculation with GGA-PBE was carried out for Ce2B12Br2O27 after structural relaxation.

As for the crystal system: monoclinic. For the formation energy, the calculation gives -2.283 eV per atom. Its space-group type is P2_1.

Structure (POSCAR):
```
Ce2B12Br2O27
1.0
-6.3327 4.1127 11.9051
-0.9928 -7.9114 2.2049
8.7589 0.1772 4.5979
B O Ce Br
24 54 4 4
Cartesian
-0.1764 -3.3471 5.1136 B
-3.2829 -4.3415 12.4347 B
-2.0008 -1.8845 15.4281 B
3.4049 1.4097 12.9518 B
5.1979 -5.3249 7.8549 B
2.2321 -3.1319 5.5202 B
0.1268 -2.1683 14.2337 B
1.7026 -0.3348 13.4197 B
4.5945 0.7989 6.5019 B
-2.4364 -0.4200 11.2721 B
6.4206 1.4010 8.0545 B
7.3379 -5.5615 6.6610 B
-5.7077 -4.5546 12.0077 B
0.6265 -1.0116 5.7527 B
-3.0642 1.2486 9.5364 B
-3.3728 0.2957 7.2874 B
-0.0988 -0.9443 11.8718 B
-0.0220 0.6451 4.0161 B
2.9192 -0.9807 6.9550 B
3.9439 -3.2497 7.2963 B
-2.1609 -2.2024 13.0220 B
0.9149 -0.1010 8.0158 B
-1.2939 -5.4713 4.4822 B
1.3969 -4.2287 14.8018 B
4.0800 0.8673 11.8251 O
0.9345 0.0035 12.3396 O
2.2259 -0.4683 8.0830 O
-3.4029 0.2444 10.5735 O
5.3905 -3.0443 10.9928 O
5.9714 -5.5084 6.6630 O
0.1299 -0.3715 6.9321 O
0.4183 -1.9258 10.9753 O
1.7158 -1.4782 17.3754 O
-2.1369 -3.6679 12.7737 O
-4.4996 -3.7497 12.2542 O
-2.0798 2.2149 10.0675 O
-0.5645 -6.1491 5.5630 O
3.9545 -6.1231 7.8106 O
5.3021 0.5378 7.6397 O
5.0908 -5.5406 11.2597 O
1.7833 -7.3480 4.2757 O
-2.7375 -1.8902 14.2812 O
6.0045 -5.7631 9.0775 O
-6.1574 0.8516 11.8514 O
1.3628 -1.3588 14.2805 O
3.9995 -1.8767 7.3920 O
2.3274 2.3134 12.5251 O
-5.0929 -0.2357 13.3809 O
-0.3584 -1.9842 5.2337 O
-0.6996 -5.7533 3.2225 O
3.6391 -5.9044 4.7180 O
4.8763 -3.8919 8.0592 O
1.1855 -2.2272 1.8415 O
2.3258 -3.5867 15.5823 O
4.1263 -0.7502 3.3871 O
2.8384 0.3211 13.7962 O
-1.3365 0.2535 3.9603 O
-5.5269 3.1331 10.9627 O
-0.6395 -1.9882 15.4285 O
-2.9020 -1.5267 11.9472 O
2.2180 2.0588 9.6046 O
2.8611 -2.8946 4.2622 O
-2.5733 0.6108 8.3511 O
-0.2345 -4.4679 10.6990 O
-4.3580 2.0031 9.2297 O
0.9539 -0.0185 4.7071 O
-2.8857 -0.4528 6.2263 O
1.0125 -3.9586 5.4026 O
-1.3113 -4.0035 4.7356 O
0.4645 -3.5934 14.0289 O
-0.6939 -1.7320 13.0204 O
3.4773 0.1067 6.1089 O
1.9222 -1.7563 6.0731 O
3.0147 -3.8838 6.5211 O
-1.1279 -0.0323 11.3343 O
3.8802 -1.6675 10.3014 O
0.3972 0.5924 9.0964 O
3.0792 -3.2332 11.5436 O
-5.5141 -1.2747 11.4102 Ce
0.4623 2.0787 10.5966 Ce
2.0726 -6.4157 6.0404 Ce
5.8988 -1.6658 9.2691 Ce
-4.0348 -3.0467 8.6280 Br
7.5916 -1.9539 6.0878 Br
0.2402 -4.3646 9.0234 Br
-1.2454 2.3267 14.2688 Br
```